Density functional theory data (r²SCAN) for a geometry-optimized Li9Mn2Co5O16 structure.

Calculated values
relative energy among the computed polymorphs	20	meV/atom
formation enthalpy at 0 K	-1939	meV/atom
SG	C2 (5)

Cell: 7.4437 7.4437 4.9482 Å, 102.45 102.45 98.33°
Element x y z (fractional)
Li 0.0000 0.0000 0.0000
Li 0.1209 0.3513 0.9817
Li 0.2493 0.7507 0.0000
Li 0.3774 0.1158 0.9975
Li 0.5088 0.4912 0.0000
Li 0.6487 0.8791 0.0183
Li 0.7692 0.2308 0.0000
Li 0.8842 0.6226 0.0025
Li 0.8872 0.1128 0.5000
Mn 0.3805 0.6195 0.5000
Mn 0.6384 0.3616 0.5000
Co 0.0061 0.4905 0.4972
Co 0.1294 0.8706 0.5000
Co 0.2541 0.2414 0.4976
Co 0.5095 0.9939 0.5028
Co 0.7586 0.7459 0.5024
O 0.0009 0.7385 0.7167
O 0.0205 0.2555 0.2718
O 0.1403 0.6220 0.2780
O 0.1419 0.1130 0.7264
O 0.2530 0.4906 0.7202
O 0.2615 0.9991 0.2833
O 0.3780 0.8597 0.7220
O 0.3901 0.3784 0.2767
O 0.5066 0.2395 0.7212
O 0.5094 0.7470 0.2798
O 0.6216 0.6099 0.7233
O 0.6232 0.1262 0.2718
O 0.7445 0.9795 0.7282
O 0.7605 0.4934 0.2788
O 0.8738 0.3768 0.7282
O 0.8870 0.8581 0.2736

Density functional theory data (r²SCAN) for a geometry-optimized Ta7S12 structure.

Calculated values
formation enthalpy at 0 K	-1198	meV/atom
SG	C2/m (12)

Cell: 5.7585 5.7585 12.8005 Å, 94.30 94.30 120.01°
Element x y z (fractional)
Ta 0.0000 0.0000 0.0000
Ta 0.0837 0.0837 0.2499
Ta 0.2501 0.5837 0.7523
Ta 0.4163 0.7499 0.2477
Ta 0.5837 0.2501 0.7523
Ta 0.7499 0.4163 0.2477
Ta 0.9163 0.9163 0.7501
S 0.0413 0.3737 0.1219
S 0.1239 0.4591 0.3703
S 0.2114 0.2114 0.6297
S 0.2915 0.2915 0.8780
S 0.3737 0.0413 0.1219
S 0.4591 0.1239 0.3703
S 0.5409 0.8761 0.6297
S 0.6263 0.9587 0.8781
S 0.7085 0.7085 0.1220
S 0.7886 0.7886 0.3703
S 0.8761 0.5409 0.6297
S 0.9587 0.6263 0.8781

Density functional theory data (r²SCAN) for a geometry-optimized Bi4Te3 structure.

Calculated values
formation enthalpy at 0 K	-194	meV/atom
SG	R-3m (166)

Cell: 14.7334 14.7334 14.7334 Å, 17.45 17.45 17.45°
Element x y z (fractional)
Bi 0.1478 0.1478 0.1478
Bi 0.2869 0.2869 0.2869
Bi 0.7131 0.7131 0.7131
Bi 0.8522 0.8522 0.8522
Te 0.0000 0.0000 0.0000
Te 0.4186 0.4186 0.4186
Te 0.5814 0.5814 0.5814

Density functional theory data (r²SCAN) for a geometry-optimized SmTlTe2 structure.

Calculated values
formation enthalpy at 0 K	-1271	meV/atom
SG	R-3m (166)

Cell: 8.5380 8.5380 8.5380 Å, 30.76 30.76 30.76°
Element x y z (fractional)
Sm 0.0000 0.0000 0.0000
Tl 0.5000 0.5000 0.5000
Te 0.2607 0.2607 0.2607
Te 0.7393 0.7393 0.7393